No. 1
# K3FeC6O12, optimized geometry, DFT PBE+U
data_K3FeC6O12
_chemical_formula_sum 'K24 Fe8 C48 O96'
_space_group_name_H-M_alt 'P 41 3 2'
_space_group_IT_number 213
_space_group_name_Hall 'P 4bd 2ab 3'
_cell_length_a 13.960
_cell_length_b 13.960
_cell_length_c 13.960
_cell_angle_alpha 90.00
_cell_angle_beta 90.00
_cell_angle_gamma 90.00
loop_
_atom_site_label
_atom_site_type_symbol
_atom_site_fract_x
_atom_site_fract_y
_atom_site_fract_z
K1 K 0.010 0.125 0.760
K2 K 0.080 0.080 0.080
K3 K 0.125 0.375 0.625
Fe1 Fe 0.011 0.989 0.489
C1 C 0.018 0.294 0.952
C2 C 0.057 0.357 0.868
O1 O 0.006 0.843 0.473
O2 O 0.013 0.206 0.943
O3 O 0.047 0.449 0.881
O4 O 0.048 0.933 0.844
# Raw total energy = -7.057 eV/atom
# Magnetic moment = 0.227 μB/atom
# E_form = -1782.1 meV per atom

---

No. 2
# K3FeC6O15, optimized geometry, DFT PBE+U
data_K3FeC6O15
_chemical_formula_sum 'K12 Fe4 C24 O60'
_space_group_name_H-M_alt 'P 1 21/c 1'
_space_group_IT_number 14
_cell_length_a 7.547
_cell_length_b 21.665
_cell_length_c 10.585
_cell_angle_alpha 90.00
_cell_angle_beta 103.94
_cell_angle_gamma 90.00
loop_
_space_group_symop_operation_xyz
'x,y,z'
'-x,-y,-z'
'-x,y+1/2,-z+1/2'
'x,-y+1/2,z+1/2'
loop_
_atom_site_label
_atom_site_type_symbol
_atom_site_fract_x
_atom_site_fract_y
_atom_site_fract_z
K1 K 0.010 0.101 0.329
K2 K 0.249 0.092 0.750
K3 K 0.466 0.096 0.172
Fe1 Fe 0.252 0.636 0.750
C1 C 0.035 0.595 0.519
C2 C 0.158 0.746 0.301
C3 C 0.230 0.571 0.522
C4 C 0.280 0.565 0.973
C5 C 0.293 0.740 0.207
C6 C 0.470 0.596 0.982
O1 O 0.024 0.625 0.622
O2 O 0.078 0.700 0.327
O3 O 0.083 0.176 0.557
O4 O 0.097 0.085 0.074
O5 O 0.146 0.698 0.842
O6 O 0.166 0.575 0.861
O7 O 0.230 0.017 0.261
O8 O 0.246 0.537 0.065
O9 O 0.263 0.543 0.427
O10 O 0.338 0.706 0.668
O11 O 0.342 0.689 0.180
O12 O 0.349 0.583 0.630
O13 O 0.401 0.091 0.421
O14 O 0.448 0.169 0.944
O15 O 0.480 0.627 0.879
# Raw total energy = -6.408 eV/atom
# Magnetic moment = 0.151 μB/atom
# E_form = -1254.4 meV per atom

---

No. 3
# K2FePCO7, optimized geometry, DFT PBE+U
data_K2FePCO7
_chemical_formula_sum 'K4 Fe2 P2 C2 O14'
_space_group_name_H-M_alt 'P 1 21/m 1'
_space_group_IT_number 11
_cell_length_a 5.581
_cell_length_b 6.837
_cell_length_c 9.671
_cell_angle_alpha 90.00
_cell_angle_beta 91.37
_cell_angle_gamma 90.00
loop_
_space_group_symop_operation_xyz
'x,y,z'
'-x,-y,-z'
'-x,y+1/2,-z'
'x,-y+1/2,z'
loop_
_atom_site_label
_atom_site_type_symbol
_atom_site_fract_x
_atom_site_fract_y
_atom_site_fract_z
K1 K 0.245 0.021 0.243
Fe1 Fe 0.231 0.250 0.641
P1 P 0.281 0.750 0.567
C1 C 0.269 0.250 0.901
O1 O 0.062 0.250 0.833
O2 O 0.104 0.750 0.440
O3 O 0.244 0.563 0.655
O4 O 0.292 0.250 0.030
O5 O 0.452 0.250 0.816
O6 O 0.453 0.250 0.485
# Raw total energy = -6.663 eV/atom
# Magnetic moment = 0.417 μB/atom
# E_form = -2254.4 meV per atom

---

No. 4
# KFePCO7, optimized geometry, DFT PBE+U
data_KFePCO7
_chemical_formula_sum 'K2 Fe2 P2 C2 O14'
_space_group_name_H-M_alt 'P 1 21 1'
_space_group_IT_number 4
_cell_length_a 5.446
_cell_length_b 6.439
_cell_length_c 10.031
_cell_angle_alpha 90.00
_cell_angle_beta 91.26
_cell_angle_gamma 90.00
loop_
_space_group_symop_operation_xyz
'x,y,z'
'-x,y+1/2,-z'
loop_
_atom_site_label
_atom_site_type_symbol
_atom_site_fract_x
_atom_site_fract_y
_atom_site_fract_z
K1 K 0.247 0.000 0.258
Fe1 Fe 0.220 0.853 0.862
P1 P 0.273 0.346 0.940
C1 C 0.280 0.823 0.610
O1 O 0.063 0.832 0.661
O2 O 0.107 0.341 0.063
O3 O 0.222 0.156 0.849
O4 O 0.225 0.539 0.851
O5 O 0.316 0.799 0.488
O6 O 0.453 0.845 0.013
O7 O 0.459 0.840 0.697
# Raw total energy = -6.807 eV/atom
# Magnetic moment = 0.367 μB/atom
# E_form = -2098.8 meV per atom

---

No. 5
# Li12Mn3FeP4C4O28, optimized geometry, DFT PBE+U
data_Li12Mn3FeP4C4O28
_chemical_formula_sum 'Li12 Mn3 Fe1 P4 C4 O28'
_space_group_name_H-M_alt 'P 1 m 1'
_space_group_IT_number 6
_cell_length_a 8.536
_cell_length_b 6.594
_cell_length_c 10.012
_cell_angle_alpha 90.00
_cell_angle_beta 94.53
_cell_angle_gamma 90.00
loop_
_space_group_symop_operation_xyz
'x,y,z'
'x,-y,z'
loop_
_atom_site_label
_atom_site_type_symbol
_atom_site_fract_x
_atom_site_fract_y
_atom_site_fract_z
Li1 Li 0.000 0.000 0.000
Li2 Li 0.001 0.000 0.500
Li3 Li 0.181 0.500 0.743
Li4 Li 0.182 0.500 0.242
Li5 Li 0.364 0.276 0.498
Li6 Li 0.365 0.276 0.998
Li7 Li 0.818 0.223 0.244
Li8 Li 0.818 0.223 0.744
Mn1 Mn 0.432 0.000 0.231
Mn2 Mn 0.751 0.500 0.011
Mn3 Mn 0.751 0.500 0.511
Fe1 Fe 0.428 0.000 0.728
P1 P 0.501 0.500 0.261
P2 P 0.502 0.500 0.762
P3 P 0.680 0.000 0.980
P4 P 0.682 0.000 0.481
C1 C 0.058 0.500 0.473
C2 C 0.058 0.500 0.973
C3 C 0.124 0.000 0.269
C4 C 0.125 0.000 0.769
O1 O 0.021 0.500 0.096
O2 O 0.021 0.500 0.596
O3 O 0.161 0.000 0.146
O4 O 0.163 0.000 0.646
O5 O 0.204 0.500 0.444
O6 O 0.204 0.500 0.944
O7 O 0.236 0.000 0.366
O8 O 0.237 0.000 0.866
O9 O 0.402 0.316 0.208
O10 O 0.403 0.314 0.708
O11 O 0.512 0.000 0.029
O12 O 0.513 0.000 0.528
O13 O 0.515 0.500 0.418
O14 O 0.515 0.500 0.918
O15 O 0.664 0.000 0.823
O16 O 0.667 0.000 0.325
O17 O 0.670 0.500 0.715
O18 O 0.671 0.500 0.215
O19 O 0.781 0.184 0.034
O20 O 0.781 0.184 0.535
O21 O 0.947 0.500 0.376
O22 O 0.947 0.500 0.876
O23 O 0.978 0.000 0.298
O24 O 0.980 0.000 0.798
# Raw total energy = -6.807 eV/atom
# Magnetic moment = 0.365 μB/atom
# E_form = -2394.0 meV per atom

---

No. 6
# Na2LiFePCO7, optimized geometry, DFT PBE+U
data_Na2LiFePCO7
_chemical_formula_sum 'Na8 Li4 Fe4 P4 C4 O28'
_space_group_name_H-M_alt 'P 1'
_space_group_IT_number 1
_cell_length_a 6.736
_cell_length_b 8.816
_cell_length_c 10.222
_cell_angle_alpha 91.77
_cell_angle_beta 90.37
_cell_angle_gamma 90.38
loop_
_space_group_symop_operation_xyz
'x,y,z'
loop_
_atom_site_label
_atom_site_type_symbol
_atom_site_fract_x
_atom_site_fract_y
_atom_site_fract_z
Na1 Na 0.000 0.000 0.000
Na2 Na 0.000 0.476 0.749
Na3 Na 0.002 0.479 0.251
Na4 Na 0.494 0.478 0.251
Na5 Na 0.497 0.998 0.500
Na6 Na 0.498 0.476 0.748
Na7 Na 0.501 0.000 0.999
Na8 Na 0.754 0.821 0.247
Li1 Li 0.241 0.647 0.503
Li2 Li 0.249 0.649 0.998
Li3 Li 0.753 0.825 0.748
Li4 Li 0.979 0.011 0.508
Fe1 Fe 0.246 0.085 0.731
Fe2 Fe 0.246 0.092 0.237
Fe3 Fe 0.748 0.386 0.511
Fe4 Fe 0.750 0.388 0.015
P1 P 0.242 0.331 0.477
P2 P 0.250 0.330 0.977
P3 P 0.749 0.145 0.768
P4 P 0.751 0.148 0.275
C1 C 0.247 0.791 0.264
C2 C 0.248 0.788 0.762
C3 C 0.749 0.681 0.984
C4 C 0.758 0.693 0.498
O1 O 0.066 0.429 0.016
O2 O 0.066 0.436 0.517
O3 O 0.228 0.172 0.539
O4 O 0.243 0.306 0.325
O5 O 0.243 0.897 0.356
O6 O 0.245 0.892 0.856
O7 O 0.249 0.828 0.141
O8 O 0.249 0.829 0.641
O9 O 0.250 0.300 0.827
O10 O 0.250 0.647 0.793
O11 O 0.250 0.650 0.297
O12 O 0.253 0.177 0.046
O13 O 0.431 0.423 0.520
O14 O 0.435 0.432 0.016
O15 O 0.561 0.046 0.732
O16 O 0.563 0.052 0.236
O17 O 0.747 0.307 0.214
O18 O 0.747 0.595 0.399
O19 O 0.747 0.825 0.967
O20 O 0.750 0.299 0.701
O21 O 0.750 0.587 0.883
O22 O 0.750 0.643 0.616
O23 O 0.751 0.625 0.101
O24 O 0.755 0.173 0.920
O25 O 0.762 0.168 0.428
O26 O 0.774 0.836 0.477
O27 O 0.929 0.044 0.724
O28 O 0.933 0.054 0.228
# Energy relative to the lowest polymorph listed for this composition = 0.056 eV/f.u.
# Raw total energy = -6.538 eV/atom
# Magnetic moment = 0.308 μB/atom
# E_form = -2289.5 meV per atom